1.
The following is a PBE calculation of a relaxed Ca19Cu24O46 crystal, from the Materials Project.

a = 6.471 Å, b = 10.930 Å, c = 16.952 Å
α = 74.93°, β = 89.87°, γ = 89.86°
Space group P1 (No. 1)
Asymmetric unit:
1 Ca 0.000 0.000 0.000 [1 per cell]
2 Ca 0.000 0.001 0.399 [1 per cell]
3 Ca 0.000 0.003 0.595 [1 per cell]
4 Ca 0.001 0.507 0.587 [1 per cell]
5 Ca 0.001 0.508 0.181 [1 per cell]
6 Ca 0.003 0.499 0.988 [1 per cell]
7 Ca 0.004 0.011 0.789 [1 per cell]
8 Ca 0.490 0.503 0.488 [1 per cell]
9 Ca 0.494 0.010 0.289 [1 per cell]
10 Ca 0.497 0.003 0.095 [1 per cell]
11 Ca 0.500 0.006 0.676 [1 per cell]
12 Ca 0.500 0.503 0.086 [1 per cell]
13 Ca 0.500 0.506 0.279 [1 per cell]
14 Ca 0.500 0.507 0.683 [1 per cell]
15 Ca 0.503 0.004 0.895 [1 per cell]
16 Ca 0.503 0.507 0.881 [1 per cell]
17 Ca 0.993 0.506 0.378 [1 per cell]
18 Ca 0.998 0.508 0.781 [1 per cell]
19 Ca 0.999 0.006 0.194 [1 per cell]
20 Cu 0.224 0.254 0.390 [1 per cell]
21 Cu 0.228 0.753 0.394 [1 per cell]
22 Cu 0.230 0.250 0.556 [1 per cell]
23 Cu 0.235 0.258 0.222 [1 per cell]
24 Cu 0.245 0.758 0.226 [1 per cell]
25 Cu 0.248 0.754 0.723 [1 per cell]
26 Cu 0.249 0.754 0.559 [1 per cell]
27 Cu 0.252 0.756 0.889 [1 per cell]
28 Cu 0.254 0.754 0.058 [1 per cell]
29 Cu 0.263 0.251 0.058 [1 per cell]
30 Cu 0.265 0.258 0.720 [1 per cell]
31 Cu 0.270 0.255 0.889 [1 per cell]
32 Cu 0.723 0.252 0.474 [1 per cell]
33 Cu 0.743 0.757 0.306 [1 per cell]
34 Cu 0.745 0.756 0.473 [1 per cell]
35 Cu 0.749 0.254 0.143 [1 per cell]
36 Cu 0.749 0.260 0.307 [1 per cell]
37 Cu 0.749 0.754 0.141 [1 per cell]
38 Cu 0.753 0.757 0.805 [1 per cell]
39 Cu 0.754 0.258 0.639 [1 per cell]
40 Cu 0.754 0.758 0.637 [1 per cell]
41 Cu 0.756 0.754 0.974 [1 per cell]
42 Cu 0.765 0.257 0.806 [1 per cell]
43 Cu 0.766 0.251 0.975 [1 per cell]
44 O 0.169 0.131 0.486 [1 per cell]
45 O 0.187 0.624 0.669 [1 per cell]
46 O 0.188 0.879 0.120 [1 per cell]
47 O 0.192 0.380 0.115 [1 per cell]
48 O 0.195 0.130 0.663 [1 per cell]
49 O 0.200 0.379 0.290 [1 per cell]
50 O 0.200 0.885 0.298 [1 per cell]
51 O 0.218 0.642 0.494 [1 per cell]
52 O 0.225 0.638 0.828 [1 per cell]
53 O 0.228 0.874 0.951 [1 per cell]
54 O 0.244 0.371 0.452 [1 per cell]
55 O 0.246 0.137 0.329 [1 per cell]
56 O 0.250 0.140 0.827 [1 per cell]
57 O 0.253 0.371 0.952 [1 per cell]
58 O 0.279 0.632 0.328 [1 per cell]
59 O 0.283 0.633 0.989 [1 per cell]
60 O 0.285 0.876 0.787 [1 per cell]
61 O 0.296 0.871 0.622 [1 per cell]
62 O 0.298 0.130 0.989 [1 per cell]
63 O 0.299 0.380 0.790 [1 per cell]
64 O 0.307 0.380 0.615 [1 per cell]
65 O 0.308 0.129 0.164 [1 per cell]
66 O 0.312 0.631 0.160 [1 per cell]
67 O 0.686 0.387 0.198 [1 per cell]
68 O 0.692 0.880 0.205 [1 per cell]
69 O 0.696 0.635 0.746 [1 per cell]
70 O 0.697 0.635 0.574 [1 per cell]
71 O 0.699 0.874 0.033 [1 per cell]
72 O 0.706 0.137 0.578 [1 per cell]
73 O 0.715 0.138 0.742 [1 per cell]
74 O 0.717 0.371 0.033 [1 per cell]
75 O 0.719 0.367 0.374 [1 per cell]
76 O 0.736 0.877 0.371 [1 per cell]
77 O 0.737 0.636 0.410 [1 per cell]
78 O 0.761 0.636 0.909 [1 per cell]
79 O 0.763 0.874 0.870 [1 per cell]
80 O 0.779 0.134 0.909 [1 per cell]
81 O 0.779 0.375 0.873 [1 per cell]
82 O 0.784 0.380 0.537 [1 per cell]
83 O 0.791 0.133 0.253 [1 per cell]
84 O 0.802 0.632 0.074 [1 per cell]
85 O 0.802 0.879 0.704 [1 per cell]
86 O 0.803 0.633 0.248 [1 per cell]
87 O 0.805 0.129 0.077 [1 per cell]
88 O 0.807 0.381 0.702 [1 per cell]
89 O 0.839 0.872 0.529 [1 per cell]

Summary:
**Crystal system**: triclinic
**Formation energy**: -1.938 eV per atom
**Total magnetization**: 1.59 μB/f.u.

2.
The following is a PBE calculation of a relaxed TbGe2Pt crystal, from the Materials Project.

a = 4.356 Å, b = 8.780 Å, c = 16.490 Å
α = 90.00°, β = 90.00°, γ = 90.00°
Space group Immm (No. 71)
Asymmetric unit:
1 Tb 0.000 0.000 0.202 [4 per cell]
2 Tb 0.000 0.239 0.000 [4 per cell]
3 Ge 0.000 0.000 0.426 [4 per cell]
4 Ge 0.000 0.350 0.200 [8 per cell]
5 Ge 0.000 0.500 0.426 [4 per cell]
6 Pt 0.000 0.249 0.352 [8 per cell]

Summary:
**Crystal system**: orthorhombic
**Formation energy**: -0.878 eV per atom

3.
The following is a PBE calculation of a relaxed DyIn3 crystal, from the Materials Project.

a = 4.645 Å, b = 4.645 Å, c = 4.645 Å
α = 90.00°, β = 90.00°, γ = 90.00°
Space group Pm-3m (No. 221)
Asymmetric unit:
1 Dy 0.000 0.000 0.000 [1 per cell]
2 In 0.000 0.500 0.500 [3 per cell]

Summary:
**Crystal system**: cubic
**Formation energy**: -0.406 eV per atom

4.
The following is a PBE calculation of a relaxed EuInPd crystal, from the Materials Project.

a = 7.514 Å, b = 4.509 Å, c = 8.647 Å
α = 90.00°, β = 90.00°, γ = 90.00°
Space group Pnma (No. 62)
Asymmetric unit:
1 Eu 0.035 0.250 0.179 [4 per cell]
2 In 0.146 0.250 0.562 [4 per cell]
3 Pd 0.232 0.750 0.375 [4 per cell]

Summary:
**Crystal system**: orthorhombic
**Formation energy**: -0.713 eV per atom

Volume per entry: 1157.73, 630.69, 100.22, 293.00 Å³ per cell